This record from Materials Project describes SiO2 after structural relaxation. The functional is PBE.

Its space-group type is C2/m. As for the MP2020-corrected energy: -8.359 eV/atom. The value obtained for the formation energy is -9.76 eV/f.u.

```
SiO2
1.0
-4.613 -9.690 -4.540
8.671 -7.408 -2.391
-0.275 -4.400 6.372
Si O
16 32
Direct
0.958 0.365 0.228
0.635 0.042 0.772
0.042 0.635 0.772
0.365 0.958 0.228
0.866 0.638 0.125
0.362 0.134 0.875
0.134 0.362 0.875
0.638 0.866 0.125
0.874 0.102 0.801
0.898 0.126 0.199
0.126 0.898 0.199
0.102 0.874 0.801
0.032 0.263 0.596
0.737 0.968 0.404
0.968 0.737 0.404
0.263 0.032 0.596
0.048 0.333 0.751
0.667 0.952 0.249
0.952 0.667 0.249
0.333 0.048 0.751
0.738 0.111 0.767
0.889 0.262 0.233
0.262 0.889 0.233
0.111 0.738 0.767
0.923 0.658 0.920
0.342 0.077 0.080
0.077 0.342 0.080
0.658 0.923 0.920
0.862 0.498 0.180
0.502 0.138 0.820
0.138 0.502 0.820
0.498 0.862 0.180
0.158 0.158 0.546
0.842 0.842 0.454
0.129 0.871 0.000
0.871 0.129 0.000
0.358 0.000 0.420
0.000 0.642 0.580
0.642 0.000 0.580
0.000 0.358 0.420
0.203 0.921 0.662
0.079 0.797 0.338
0.797 0.079 0.338
0.921 0.203 0.662
0.965 0.965 0.773
0.035 0.035 0.227
0.728 0.728 0.152
0.272 0.272 0.848
```



This record from Materials Project describes FeCoSe2 after structural relaxation. The functional is PBE.

Its space-group type is P-3m1. As for the MP2020-corrected energy: -5.953 eV/atom. The value obtained for the formation energy is -1.24 eV/f.u.

```
FeCoSe2
1.0
1.790 -3.101 0.000
1.790 3.101 0.000
0.000 0.000 5.237
Fe Co Se
1 1 2
Direct
0.000 0.000 0.000
0.000 0.000 0.500
0.333 0.667 0.248
0.667 0.333 0.752
```



This record from Materials Project describes Al13Rh4 after structural relaxation. The functional is PBE.

Its space-group type is C2/m. The value obtained for the formation energy is -10.25 eV/f.u.

```
Al13Rh4
1.0
0.000 -8.330 0.000
-7.463 4.165 2.484
-0.060 0.000 -12.912
Al Rh
39 12
Direct
0.071 0.142 0.176
0.929 0.858 0.824
0.326 0.651 0.286
0.674 0.349 0.714
0.238 0.476 0.520
0.762 0.524 0.480
0.076 0.153 0.581
0.924 0.847 0.419
0.244 0.489 0.978
0.756 0.511 0.022
0.482 0.964 0.830
0.518 0.036 0.170
0.500 0.000 0.500
0.301 0.601 0.770
0.699 0.399 0.230
0.087 0.173 0.785
0.913 0.827 0.215
0.966 0.368 0.114
0.402 0.368 0.114
0.034 0.632 0.886
0.598 0.632 0.886
0.153 0.738 0.110
0.585 0.738 0.110
0.847 0.262 0.890
0.415 0.262 0.890
0.959 0.355 0.330
0.396 0.355 0.330
0.041 0.645 0.670
0.604 0.645 0.670
0.261 0.982 0.327
0.721 0.982 0.327
0.739 0.018 0.673
0.279 0.018 0.673
0.141 0.723 0.481
0.582 0.723 0.481
0.859 0.277 0.519
0.418 0.277 0.519
0.751 0.000 0.000
0.249 0.000 0.000
0.082 0.164 0.386
0.918 0.836 0.614
0.398 0.796 0.628
0.602 0.204 0.372
0.090 0.180 0.979
0.910 0.820 0.021
0.398 0.797 0.978
0.602 0.203 0.022
0.038 0.645 0.281
0.607 0.645 0.281
0.962 0.355 0.719
0.393 0.355 0.719
```